Record 1
A geometry-optimized La2ZnSnO6 structure, computed with PBE.

Cell and atoms, written as CIF:
```
data_La2ZnSnO6
_cell_length_a 5.8002
_cell_length_b 5.8002
_cell_length_c 13.8662
_cell_angle_alpha 90.00
_cell_angle_beta 90.00
_cell_angle_gamma 120.00
_symmetry_space_group_name_H-M 'R -3'
_symmetry_Int_Tables_number 148
_symmetry_space_group_name_Hall '-R 3'
loop_
_atom_site_label
_atom_site_fract_x
_atom_site_fract_y
_atom_site_fract_z
La1 0.0000 0.0000 0.2492
Zn1 0.0000 0.0000 0.5000
Sn1 0.0000 0.0000 0.0000
O1 0.0063 0.5952 0.7504
```

## Properties
Calculated formation energy, kcal/mol of atoms: -67.1
Total energy, eV/atom: -6.98


Record 2
A geometry-optimized Sr3La4O9 structure, computed with PBE.

Cell and atoms, written as CIF:
```
data_Sr3La4O9
_cell_length_a 6.2273
_cell_length_b 6.2273
_cell_length_c 26.9257
_cell_angle_alpha 90.00
_cell_angle_beta 90.00
_cell_angle_gamma 120.00
_symmetry_space_group_name_H-M 'R 3'
_symmetry_Int_Tables_number 146
_symmetry_space_group_name_Hall 'R 3'
loop_
_atom_site_label
_atom_site_fract_x
_atom_site_fract_y
_atom_site_fract_z
Sr1 0.0000 0.0000 0.0000
Sr2 0.0000 0.0000 0.1785
Sr3 0.0000 0.0000 0.6080
La1 0.0000 0.0000 0.3070
La2 0.0000 0.0000 0.4384
La3 0.0000 0.0000 0.7425
La4 0.0000 0.0000 0.8709
O1 0.0042 0.6193 0.0287
O2 0.0051 0.3858 0.5893
O3 0.0447 0.6918 0.4759
```

## Properties
Calculated formation energy, kcal/mol of atoms: -80.2
Total energy, eV/atom: -7.42
Distance to the lowest polymorph of the same formula, meV per atom: 40


Record 3
A geometry-optimized Sr3La4O9 structure, computed with PBE.

Cell and atoms, written as CIF:
```
data_Sr3La4O9
_cell_length_a 11.862
_cell_length_b 7.346
_cell_length_c 13.536
_cell_angle_alpha 90.00
_cell_angle_beta 115.44
_cell_angle_gamma 90.00
_symmetry_space_group_name_H-M 'C 1 c 1'
_symmetry_Int_Tables_number 9
loop_
_symmetry_equiv_pos_as_xyz
'x,y,z'
'x,-y,z+1/2'
'x+1/2,y+1/2,z'
'x+1/2,-y+1/2,z+1/2'
loop_
_atom_site_label
_atom_site_fract_x
_atom_site_fract_y
_atom_site_fract_z
Sr1 0.000 0.063 0.000
Sr2 0.098 0.163 0.275
Sr3 0.184 0.413 0.945
La1 0.101 0.362 0.656
La2 0.305 0.119 0.565
La3 0.360 0.315 0.225
La4 0.377 0.131 0.860
O1 0.068 0.131 0.851
O2 0.094 0.270 0.470
O3 0.135 0.341 0.108
O4 0.198 0.062 0.680
O5 0.294 0.432 0.818
O6 0.333 0.176 0.395
O7 0.374 0.193 0.043
O8 0.381 0.417 0.621
O9 0.481 0.018 0.750
```

## Properties
Calculated formation energy, kcal/mol of atoms: -81.1
Total energy, eV/atom: -7.46
Distance to the lowest polymorph of the same formula, meV per atom: 0


Record 4
A geometry-optimized Sr3La4O9 structure, computed with PBE.

Cell and atoms, written as CIF:
```
data_Sr3La4O9
_cell_length_a 7.364
_cell_length_b 9.782
_cell_length_c 10.390
_cell_angle_alpha 76.92
_cell_angle_beta 71.45
_cell_angle_gamma 74.58
_symmetry_space_group_name_H-M 'P 1'
_symmetry_Int_Tables_number 1
loop_
_symmetry_equiv_pos_as_xyz
'x,y,z'
loop_
_atom_site_label
_atom_site_fract_x
_atom_site_fract_y
_atom_site_fract_z
Sr1 0.000 0.000 0.000
Sr2 0.043 0.541 0.351
Sr3 0.373 0.273 0.508
Sr4 0.666 0.520 0.734
Sr5 0.801 0.840 0.743
Sr6 0.864 0.273 0.221
La1 0.069 0.569 0.956
La2 0.192 0.957 0.329
La3 0.298 0.898 0.663
La4 0.396 0.256 0.164
La5 0.414 0.201 0.846
La6 0.561 0.637 0.147
La7 0.699 0.921 0.360
La8 0.880 0.205 0.579
O1 0.045 0.817 0.249
O2 0.070 0.890 0.560
O3 0.097 0.791 0.875
O4 0.105 0.271 0.337
O5 0.193 0.137 0.081
O6 0.236 0.109 0.751
O7 0.380 0.042 0.443
O8 0.380 0.416 0.950
O9 0.429 0.441 0.268
O10 0.506 0.819 0.262
O11 0.555 0.341 0.642
O12 0.621 0.772 0.608
O13 0.705 0.114 0.156
O14 0.724 0.075 0.803
O15 0.760 0.616 0.915
O16 0.763 0.119 0.432
O17 0.871 0.538 0.175
O18 0.975 0.414 0.584
```

## Properties
Calculated formation energy, kcal/mol of atoms: -78.1
Total energy, eV/atom: -7.33
Distance to the lowest polymorph of the same formula, meV per atom: 132


Record 5
A geometry-optimized Sr3La4O9 structure, computed with PBE.

Cell and atoms, written as CIF:
```
data_Sr3La4O9
_cell_length_a 7.451
_cell_length_b 9.465
_cell_length_c 10.691
_cell_angle_alpha 79.59
_cell_angle_beta 70.75
_cell_angle_gamma 73.25
_symmetry_space_group_name_H-M 'P 1'
_symmetry_Int_Tables_number 1
loop_
_symmetry_equiv_pos_as_xyz
'x,y,z'
loop_
_atom_site_label
_atom_site_fract_x
_atom_site_fract_y
_atom_site_fract_z
Sr1 0.000 0.000 0.000
Sr2 0.008 0.442 0.714
Sr3 0.319 0.761 0.167
Sr4 0.636 0.015 0.390
Sr5 0.745 0.336 0.432
Sr6 0.805 0.752 0.885
La1 0.011 0.055 0.637
La2 0.127 0.434 0.018
La3 0.241 0.389 0.341
La4 0.340 0.724 0.497
La5 0.366 0.703 0.816
La6 0.487 0.096 0.783
La7 0.659 0.395 0.043
La8 0.816 0.689 0.246
O1 0.004 0.387 0.246
O2 0.047 0.281 0.549
O3 0.070 0.717 0.987
O4 0.133 0.657 0.713
O5 0.203 0.619 0.387
O6 0.332 0.922 0.644
O7 0.334 0.498 0.111
O8 0.373 0.324 0.844
O9 0.385 0.893 0.928
O10 0.498 0.851 0.298
O11 0.570 0.268 0.290
O12 0.644 0.592 0.463
O13 0.677 0.562 0.835
O14 0.721 0.595 0.095
O15 0.729 0.092 0.570
O16 0.792 0.021 0.838
O17 0.934 0.896 0.227
O18 0.977 0.270 0.932
```

## Properties
Calculated formation energy, kcal/mol of atoms: -77.1
Total energy, eV/atom: -7.29
Distance to the lowest polymorph of the same formula, meV per atom: 173


Record 6
A geometry-optimized Sr2LaTaO6 structure, computed with PBE.

Cell and atoms, written as CIF:
```
data_Sr2LaTaO6
_cell_length_a 8.653
_cell_length_b 8.653
_cell_length_c 8.653
_cell_angle_alpha 90.00
_cell_angle_beta 90.00
_cell_angle_gamma 90.00
_symmetry_space_group_name_H-M 'F m -3 m'
_symmetry_Int_Tables_number 225
_symmetry_space_group_name_Hall '-F 4 2 3'
loop_
_atom_site_label
_atom_site_fract_x
_atom_site_fract_y
_atom_site_fract_z
Sr1 0.250 0.250 0.250
La1 0.000 0.000 0.000
Ta1 0.000 0.000 0.500
O1 0.000 0.000 0.269
```

## Properties
Calculated formation energy, kcal/mol of atoms: -78.5
Total energy, eV/atom: -7.98